A plane-wave DFT calculation with PBE was carried out for a relaxed Li2Ge4O9 crystal.

abc: 16.098 4.696 9.454
angles: 90.00 90.00 90.00
Space group Pca2_1 (No. 29)
Unique sites:
1 Li 0.021 0.089 0.000 x4
2 Li 0.234 0.944 0.808 x4
3 Ge 0.094 0.478 0.329 x4
4 Ge 0.098 0.501 0.748 x4
5 Ge 0.156 0.985 0.538 x4
6 Ge 0.204 0.490 0.040 x4
7 O 0.005 0.342 0.815 x4
8 O 0.069 0.758 0.622 x4
9 O 0.070 0.201 0.450 x4
10 O 0.125 0.345 0.157 x4
11 O 0.145 0.670 0.902 x4
12 O 0.161 0.210 0.703 x4
13 O 0.164 0.747 0.377 x4
14 O 0.237 0.748 0.629 x4
15 O 0.242 0.211 0.456 x4

## Properties
VASP energy	-6.221	eV/atom
spin magnetization	0.0000	μB/atom
energy of formation	-2.18	eV/atom